The following is a DFT calculation (PBE with a Hubbard U) of LiV4O5F7 after structural relaxation.

a b c (Å): 5.3784 9.0547 9.1475
angles (deg): 69.11 88.14 87.46
Last column: nearest neighbours and their distance in Å.
Sites, in units of the cell vectors:
V  0.0064  0.7554  0.7679  2 O 1.79-1.80, 2 F 1.95-1.98
V  0.4671  0.4948  0.0082  2 O 1.78-1.81, 2 F 1.96-1.99
V  0.5063  0.7537  0.2685  2 O 1.78-1.81, 2 F 1.95-1.99
V  0.9925  0.2686  0.2267  1 O 1.67
V  0.0248  0.9806  0.9994  1 O 1.68
V  0.5015  0.2683  0.7264  1 O 1.67
V  0.9674  0.4961  0.5083  2 O 1.79-1.80, 2 F 1.95-1.98
V  0.5307  0.9825  0.4981  1 O 1.67
O  0.7982  0.3752  0.0862  1 V 1.67
O  0.2848  0.8797  0.0803  1 V 1.68
O  0.7831  0.8758  0.5816  1 V 1.67
O  0.2979  0.3698  0.5887  1 V 1.67
O  0.9959  0.9327  0.8133  2 V 1.79-1.91
O  0.4976  0.9295  0.3132  2 V 1.78-1.93
O  0.3136  0.3203  0.1227  2 V 1.78-1.94
O  0.2069  0.6256  0.9171  2 V 1.80-1.81
O  0.7059  0.6242  0.4194  2 V 1.80-1.81
O  0.8194  0.3178  0.6254  2 V 1.79-1.91
F  0.2059  0.6642  0.3869  2 V 1.95-2.02
F  0.6933  0.1236  0.9305  1 Li 2.00, 2 V 2.13
F  0.5168  0.4277  0.8246  2 V 1.96-1.99
F  0.4804  0.0761  0.6709  2 V 1.99-2.05
F  0.7083  0.1746  0.3772  2 V 1.97-2.02
F  0.7922  0.8200  0.1194  2 V 1.95-1.99
F  0.2894  0.8245  0.6179  2 V 1.97-1.98
F  0.0143  0.4274  0.3261  2 V 1.96-1.98
F  0.1986  0.1261  0.4274  1 Li 1.97, 2 V 2.14
F  0.7061  0.6654  0.8863  2 V 1.95-2.03
F  0.9859  0.5851  0.6726  2 V 1.95-2.03
F  0.4827  0.5856  0.1723  2 V 1.96-2.02
F  0.2108  0.1735  0.8794  2 V 1.99-2.06
F  0.0027  0.0766  0.1712  2 V 1.98-2.05
Li  0.0631  0.1357  0.6262  1 F 1.97, 2 O 2.05-2.06
Li  0.4541  0.1132  0.1050  1 F 2.00, 2 O 2.05

Values from the calculation:
DFT formation energy ... -2790 meV/atom
Energy relative to the lowest polymorph listed for this composition ... 12 meV per atom